First-principles (r2SCAN) data for crystalline Co2Si at its relaxed geometry, as listed in the Materials Project.

a = 4.856 Å, b = 3.705 Å, c = 6.967 Å
α = 90.00°, β = 90.00°, γ = 90.00°
Fractional coordinates of all 12 atoms:
Co1 0.036 0.250 0.221
Co2 0.173 0.250 0.564
Co3 0.327 0.750 0.064
Co4 0.464 0.750 0.721
Co5 0.536 0.250 0.279
Co6 0.673 0.250 0.936
Co7 0.827 0.750 0.436
Co8 0.964 0.750 0.779
Si1 0.201 0.250 0.896
Si2 0.299 0.750 0.396
Si3 0.701 0.250 0.604
Si4 0.799 0.750 0.104

Values from the calculation:
DFT formation energy	-0.331	eV/atom
raw total energy	-12.08	eV per atom